Crystalline K17Fe5O16 at its relaxed geometry, computed with PBE+U.

a b c (Å): 6.7925 36.6390 6.7866
angles (deg): 90.00 119.37 90.00
Last column: nearest neighbours and their distance in Å.
Space group Cm (No. 8)
Inequivalent atoms, fractional coordinates:
K  0.0000  0.0000  0.0000 (multiplicity 2)  4 O 2.78-2.81
K  0.0009  0.1691  0.0246 (multiplicity 4)  3 O 2.64-2.82
K  0.0414  0.4534  0.4176 (multiplicity 4)  5 O 2.69-2.95
K  0.0445  0.3606  0.4351 (multiplicity 4)  5 O 2.69-2.90
K  0.0563  0.2670  0.4280 (multiplicity 4)  4 O 2.76-2.93
K  0.4449  0.2258  0.8750 (multiplicity 4)  4 O 2.59-2.72
K  0.4539  0.1375  0.8909 (multiplicity 4)  5 O 2.69-3.01
K  0.4562  0.0459  0.8751 (multiplicity 4)  5 O 2.68-2.94
K  0.4986  0.4155  0.2968 (multiplicity 4)  4 O 2.68-2.91
Fe  0.4990  0.3206  0.5025 (multiplicity 4)  4 O 1.91-2.00
Fe  0.4985  0.4104  0.8061 (multiplicity 4)  4 O 1.89-1.97
Fe  0.4987  0.5000  0.4918 (multiplicity 2)  4 O 1.89-1.95
O  0.0006  0.1286  0.6131 (multiplicity 4)  2 Fe 1.94-2.00
O  0.0007  0.2133  0.7168 (multiplicity 4)  1 Fe 1.91
O  0.2293  0.3142  0.2205 (multiplicity 4)  1 Fe 1.91
O  0.2311  0.4071  0.8259 (multiplicity 4)  1 Fe 1.89
O  0.2319  0.5000  0.2074 (multiplicity 2)  1 Fe 1.89
O  0.2648  0.0929  0.0907 (multiplicity 4)  1 Fe 1.89
O  0.2678  0.0000  0.4742 (multiplicity 2)  1 Fe 1.89
O  0.2678  0.1866  0.4837 (multiplicity 4)  1 Fe 1.91
O  0.4986  0.4570  0.6619 (multiplicity 4)  2 Fe 1.95-1.97

Summary:
MP2020-corrected energy	-5.323	eV per atom
raw total energy	-360.03	eV per cell